(1)
{
  "formula": "Mn9Al8Fe3Si12O48",
  "functional": "PBE+U",
  "state": "optimized geometry",
  "lattice_angstrom": [[8.290, -5.862, 0.000], [8.290, 5.862, 0.000], [-8.279, 0.000, 8.292]],
  "species": ["Mn", "Mn", "Mn", "Mn", "Mn", "Mn", "Mn", "Mn", "Mn", "Al", "Al", "Al", "Al", "Al", "Al", "Al", "Al", "Fe", "Fe", "Fe", "Si", "Si", "Si", "Si", "Si", "Si", "Si", "Si", "Si", "Si", "Si", "Si", "O", "O", "O", "O", "O", "O", "O", "O", "O", "O", "O", "O", "O", "O", "O", "O", "O", "O", "O", "O", "O", "O", "O", "O", "O", "O", "O", "O", "O", "O", "O", "O", "O", "O", "O", "O", "O", "O", "O", "O", "O", "O", "O", "O", "O", "O", "O", "O"],
  "frac_coords": [[0.000, 0.000, 0.000], [0.001, 0.749, 0.624], [0.126, 0.375, 0.875], [0.251, 0.999, 0.376], [0.500, 0.250, 0.125], [0.500, 0.500, 0.000], [0.625, 0.874, 0.125], [0.750, 0.250, 0.500], [0.750, 0.500, 0.875], [0.375, 0.125, 0.250], [0.375, 0.625, 0.251], [0.375, 0.625, 0.749], [0.376, 0.123, 0.749], [0.875, 0.124, 0.750], [0.875, 0.625, 0.750], [0.876, 0.125, 0.250], [0.877, 0.624, 0.251], [0.125, 0.375, 0.375], [0.251, 0.749, 0.500], [0.625, 0.875, 0.625], [0.000, 0.750, 0.125], [0.001, 0.999, 0.500], [0.125, 0.375, 0.625], [0.126, 0.375, 0.126], [0.250, 0.000, 0.875], [0.250, 0.750, 0.000], [0.500, 0.250, 0.625], [0.500, 0.500, 0.500], [0.625, 0.874, 0.874], [0.625, 0.875, 0.375], [0.750, 0.250, 0.000], [0.750, 0.500, 0.375], [0.062, 0.742, 0.854], [0.063, 0.008, 0.833], [0.075, 0.230, 0.436], [0.076, 0.520, 0.264], [0.175, 0.231, 0.170], [0.175, 0.519, 0.631], [0.188, 0.741, 0.263], [0.189, 0.006, 0.550], [0.258, 0.938, 0.146], [0.259, 0.812, 0.737], [0.271, 0.324, 0.762], [0.271, 0.425, 0.133], [0.293, 0.137, 0.867], [0.293, 0.613, 0.051], [0.361, 0.543, 0.549], [0.362, 0.209, 0.438], [0.387, 0.707, 0.949], [0.388, 0.042, 0.063], [0.457, 0.639, 0.451], [0.459, 0.111, 0.633], [0.480, 0.924, 0.736], [0.481, 0.825, 0.369], [0.492, 0.312, 0.355], [0.492, 0.438, 0.762], [0.562, 0.241, 0.950], [0.562, 0.508, 0.238], [0.575, 0.020, 0.333], [0.575, 0.729, 0.867], [0.676, 0.020, 0.062], [0.676, 0.729, 0.238], [0.688, 0.242, 0.667], [0.688, 0.508, 0.645], [0.758, 0.312, 0.333], [0.759, 0.438, 0.050], [0.769, 0.825, 0.830], [0.770, 0.925, 0.564], [0.791, 0.638, 0.562], [0.792, 0.111, 0.854], [0.863, 0.042, 0.355], [0.863, 0.707, 0.133], [0.889, 0.208, 0.146], [0.889, 0.541, 0.367], [0.958, 0.137, 0.645], [0.958, 0.612, 0.937], [0.980, 0.324, 0.938], [0.980, 0.425, 0.667], [0.992, 0.937, 0.167], [0.994, 0.811, 0.450]],
  "formation_enthalpy_0k_ev_per_atom": -2.91,
  "rho_g_cm3": 4.09,
  "final_energy_ev_per_cell": -618.739
}


(2)
{
  "formula": "SrMnGe2O6",
  "functional": "PBE+U",
  "state": "optimized geometry",
  "lattice_angstrom": [[-5.091, 4.767, 1.347], [-5.081, -4.765, -4.261], [-5.098, -4.767, 6.959]],
  "species": ["Ge", "Ge", "Ge", "Ge", "Ge", "Ge", "Ge", "Ge", "Mn", "Mn", "Mn", "Mn", "Sr", "Sr", "Sr", "Sr", "O", "O", "O", "O", "O", "O", "O", "O", "O", "O", "O", "O", "O", "O", "O", "O", "O", "O", "O", "O", "O", "O", "O", "O"],
  "frac_coords": [[0.122, 0.547, 0.766], [0.314, 0.202, 0.921], [0.122, 0.047, 0.266], [0.686, 0.298, 0.579], [0.878, 0.453, 0.234], [0.686, 0.798, 0.079], [0.878, 0.953, 0.734], [0.314, 0.702, 0.421], [0.407, 0.922, 0.672], [0.593, 0.578, 0.828], [0.406, 0.422, 0.172], [0.593, 0.078, 0.328], [0.191, 0.280, 0.530], [0.191, 0.780, 0.030], [0.809, 0.720, 0.470], [0.809, 0.220, 0.970], [0.302, 0.169, 0.308], [0.887, 0.537, 0.857], [0.124, 0.093, 0.076], [0.477, 0.332, 0.970], [0.169, 0.321, 0.803], [0.124, 0.593, 0.576], [0.301, 0.669, 0.808], [0.606, 0.466, 0.646], [0.113, 0.963, 0.643], [0.606, 0.966, 0.146], [0.523, 0.668, 0.030], [0.477, 0.832, 0.470], [0.831, 0.679, 0.197], [0.876, 0.407, 0.424], [0.113, 0.463, 0.143], [0.831, 0.179, 0.697], [0.876, 0.907, 0.924], [0.523, 0.168, 0.530], [0.394, 0.034, 0.854], [0.169, 0.821, 0.303], [0.699, 0.331, 0.192], [0.698, 0.831, 0.692], [0.887, 0.037, 0.357], [0.394, 0.534, 0.354]],
  "formation_enthalpy_0k_ev_per_atom": -2.45,
  "rho_g_cm3": 4.68,
  "final_energy_ev_per_cell": -273.814
}


(3)
{
  "formula": "LiVF4",
  "functional": "PBE+U",
  "state": "optimized geometry",
  "lattice_angstrom": [[5.291, -1.564, 0.000], [5.291, 1.564, 0.000], [-4.711, 0.000, 9.195]],
  "species": ["Li", "Li", "V", "V", "F", "F", "F", "F", "F", "F", "F", "F"],
  "frac_coords": [[0.240, 0.760, 0.750], [0.760, 0.240, 0.250], [0.000, 0.500, 0.000], [0.500, 0.000, 0.500], [0.009, 0.517, 0.630], [0.211, 0.697, 0.107], [0.303, 0.789, 0.393], [0.483, 0.991, 0.870], [0.517, 0.009, 0.130], [0.697, 0.211, 0.607], [0.789, 0.303, 0.893], [0.991, 0.483, 0.370]],
  "formation_enthalpy_0k_ev_per_atom": -3.14,
  "rho_g_cm3": 2.92,
  "final_energy_ev_per_cell": -67.920
}


(4)
{
  "formula": "Ca2CoSi2O7",
  "functional": "PBE+U",
  "state": "optimized geometry",
  "lattice_angstrom": [[23.708, 0.000, 0.000], [0.000, 23.758, 0.000], [0.000, 0.000, 5.082]],
  "species": ["Ca", "Ca", "Ca", "Ca", "Ca", "Ca", "Ca", "Ca", "Ca", "Ca", "Ca", "Ca", "Ca", "Ca", "Ca", "Ca", "Ca", "Ca", "Ca", "Ca", "Ca", "Ca", "Ca", "Ca", "Ca", "Ca", "Ca", "Ca", "Ca", "Ca", "Ca", "Ca", "Ca", "Ca", "Ca", "Ca", "Co", "Co", "Co", "Co", "Co", "Co", "Co", "Co", "Co", "Co", "Co", "Co", "Co", "Co", "Co", "Co", "Co", "Co", "Si", "Si", "Si", "Si", "Si", "Si", "Si", "Si", "Si", "Si", "Si", "Si", "Si", "Si", "Si", "Si", "Si", "Si", "Si", "Si", "Si", "Si", "Si", "Si", "Si", "Si", "Si", "Si", "Si", "Si", "Si", "Si", "Si", "Si", "Si", "Si", "O", "O", "O", "O", "O", "O", "O", "O", "O", "O", "O", "O", "O", "O", "O", "O", "O", "O", "O", "O", "O", "O", "O", "O", "O", "O", "O", "O", "O", "O", "O", "O", "O", "O", "O", "O", "O", "O", "O", "O", "O", "O", "O", "O", "O", "O", "O", "O", "O", "O", "O", "O", "O", "O", "O", "O", "O", "O", "O", "O", "O", "O", "O", "O", "O", "O", "O", "O", "O", "O", "O", "O", "O", "O", "O", "O", "O", "O", "O", "O", "O", "O", "O", "O", "O", "O", "O", "O", "O", "O", "O", "O", "O", "O", "O", "O", "O", "O", "O", "O", "O", "O", "O", "O", "O", "O", "O", "O", "O", "O", "O", "O", "O", "O", "O", "O", "O", "O", "O", "O", "O", "O", "O", "O", "O", "O"],
  "frac_coords": [[0.050, 0.232, 0.026], [0.053, 0.559, 0.022], [0.053, 0.892, 0.001], [0.102, 0.049, 0.985], [0.108, 0.385, 0.012], [0.111, 0.725, 0.013], [0.212, 0.598, 0.994], [0.226, 0.945, 0.001], [0.235, 0.285, 0.977], [0.265, 0.785, 0.023], [0.274, 0.445, 0.999], [0.288, 0.098, 0.006], [0.389, 0.225, 0.987], [0.392, 0.885, 0.988], [0.398, 0.549, 0.015], [0.447, 0.059, 0.978], [0.447, 0.392, 0.999], [0.450, 0.732, 0.974], [0.550, 0.268, 0.974], [0.553, 0.608, 0.999], [0.553, 0.941, 0.978], [0.602, 0.451, 0.015], [0.608, 0.115, 0.988], [0.611, 0.775, 0.987], [0.712, 0.902, 0.006], [0.726, 0.555, 0.999], [0.735, 0.215, 0.023], [0.765, 0.715, 0.977], [0.774, 0.055, 0.001], [0.788, 0.402, 0.994], [0.889, 0.275, 0.013], [0.892, 0.615, 0.012], [0.898, 0.951, 0.985], [0.947, 0.108, 0.001], [0.947, 0.441, 0.022], [0.950, 0.768, 0.026], [0.000, 0.000, 0.495], [0.002, 0.666, 0.511], [0.161, 0.837, 0.511], [0.164, 0.493, 0.493], [0.170, 0.165, 0.495], [0.330, 0.665, 0.505], [0.336, 0.993, 0.507], [0.339, 0.337, 0.489], [0.498, 0.166, 0.489], [0.500, 0.500, 0.505], [0.502, 0.834, 0.489], [0.661, 0.663, 0.489], [0.664, 0.007, 0.507], [0.670, 0.335, 0.505], [0.830, 0.835, 0.495], [0.836, 0.507, 0.493], [0.839, 0.163, 0.511], [0.998, 0.334, 0.511], [0.041, 0.788, 0.575], [0.044, 0.451, 0.584], [0.048, 0.117, 0.550], [0.118, 0.285, 0.456], [0.121, 0.958, 0.430], [0.123, 0.619, 0.447], [0.210, 0.717, 0.461], [0.215, 0.374, 0.431], [0.220, 0.044, 0.441], [0.280, 0.544, 0.559], [0.285, 0.874, 0.569], [0.290, 0.217, 0.539], [0.377, 0.119, 0.553], [0.379, 0.458, 0.570], [0.382, 0.785, 0.544], [0.452, 0.617, 0.450], [0.456, 0.951, 0.416], [0.459, 0.288, 0.425], [0.541, 0.712, 0.425], [0.544, 0.049, 0.416], [0.548, 0.383, 0.450], [0.618, 0.215, 0.544], [0.621, 0.542, 0.570], [0.623, 0.881, 0.553], [0.710, 0.783, 0.539], [0.715, 0.126, 0.569], [0.720, 0.456, 0.559], [0.780, 0.956, 0.441], [0.785, 0.626, 0.431], [0.790, 0.283, 0.461], [0.877, 0.381, 0.447], [0.879, 0.042, 0.430], [0.882, 0.715, 0.456], [0.952, 0.883, 0.550], [0.956, 0.549, 0.584], [0.959, 0.212, 0.575], [0.000, 0.500, 0.704], [0.015, 0.174, 0.675], [0.018, 0.065, 0.716], [0.021, 0.395, 0.744], [0.030, 0.728, 0.733], [0.041, 0.114, 0.234], [0.042, 0.449, 0.266], [0.043, 0.784, 0.257], [0.063, 0.976, 0.271], [0.064, 0.314, 0.296], [0.067, 0.644, 0.293], [0.095, 0.817, 0.726], [0.104, 0.466, 0.727], [0.112, 0.119, 0.671], [0.114, 0.292, 0.772], [0.118, 0.958, 0.747], [0.121, 0.615, 0.764], [0.122, 0.222, 0.329], [0.136, 0.559, 0.290], [0.142, 0.901, 0.280], [0.165, 0.008, 0.318], [0.174, 0.320, 0.328], [0.175, 0.660, 0.339], [0.180, 0.770, 0.297], [0.187, 0.429, 0.278], [0.203, 0.721, 0.777], [0.216, 0.108, 0.317], [0.219, 0.375, 0.748], [0.225, 0.038, 0.757], [0.226, 0.861, 0.728], [0.227, 0.213, 0.663], [0.227, 0.515, 0.723], [0.273, 0.015, 0.277], [0.273, 0.713, 0.337], [0.274, 0.361, 0.272], [0.275, 0.538, 0.243], [0.281, 0.875, 0.252], [0.284, 0.608, 0.683], [0.297, 0.221, 0.223], [0.313, 0.929, 0.722], [0.320, 0.270, 0.703], [0.325, 0.160, 0.661], [0.326, 0.820, 0.672], [0.335, 0.508, 0.682], [0.358, 0.401, 0.720], [0.364, 0.059, 0.710], [0.378, 0.722, 0.671], [0.379, 0.115, 0.236], [0.382, 0.458, 0.253], [0.386, 0.792, 0.228], [0.388, 0.619, 0.329], [0.396, 0.966, 0.273], [0.405, 0.317, 0.274], [0.433, 0.144, 0.707], [0.436, 0.814, 0.704], [0.437, 0.476, 0.729], [0.457, 0.284, 0.743], [0.458, 0.949, 0.734], [0.459, 0.614, 0.766], [0.470, 0.228, 0.267], [0.479, 0.895, 0.256], [0.482, 0.565, 0.284], [0.485, 0.674, 0.325], [0.500, 0.000, 0.296], [0.515, 0.326, 0.325], [0.518, 0.435, 0.284], [0.521, 0.105, 0.256], [0.530, 0.772, 0.267], [0.541, 0.386, 0.766], [0.542, 0.051, 0.734], [0.543, 0.716, 0.743], [0.563, 0.524, 0.729], [0.564, 0.186, 0.704], [0.567, 0.856, 0.707], [0.595, 0.683, 0.274], [0.604, 0.034, 0.273], [0.612, 0.381, 0.329], [0.614, 0.208, 0.228], [0.618, 0.542, 0.253], [0.621, 0.885, 0.236], [0.622, 0.278, 0.671], [0.636, 0.941, 0.710], [0.642, 0.599, 0.720], [0.665, 0.492, 0.682], [0.674, 0.180, 0.672], [0.675, 0.840, 0.661], [0.680, 0.730, 0.703], [0.687, 0.071, 0.722], [0.703, 0.779, 0.223], [0.716, 0.392, 0.683], [0.719, 0.125, 0.252], [0.725, 0.462, 0.243], [0.726, 0.639, 0.272], [0.727, 0.287, 0.337], [0.727, 0.985, 0.277], [0.773, 0.485, 0.723], [0.773, 0.787, 0.663], [0.774, 0.139, 0.728], [0.775, 0.962, 0.757], [0.781, 0.625, 0.748], [0.784, 0.892, 0.317], [0.797, 0.279, 0.777], [0.813, 0.571, 0.278], [0.820, 0.230, 0.297], [0.825, 0.340, 0.339], [0.826, 0.680, 0.328], [0.835, 0.992, 0.318], [0.858, 0.099, 0.280], [0.864, 0.441, 0.290], [0.878, 0.778, 0.329], [0.879, 0.385, 0.764], [0.882, 0.042, 0.747], [0.886, 0.708, 0.772], [0.888, 0.881, 0.671], [0.896, 0.534, 0.727], [0.905, 0.183, 0.726], [0.933, 0.356, 0.293], [0.936, 0.686, 0.296], [0.937, 0.024, 0.271], [0.957, 0.216, 0.257], [0.958, 0.551, 0.266], [0.959, 0.886, 0.234], [0.970, 0.272, 0.733], [0.979, 0.605, 0.744], [0.982, 0.935, 0.716], [0.985, 0.826, 0.675]],
  "formation_enthalpy_0k_ev_per_atom": -3.06,
  "rho_g_cm3": 3.21,
  "final_energy_ev_per_cell": -1563.941
}


(5)
{
  "formula": "PrMgCo4O12",
  "functional": "PBE+U",
  "state": "optimized geometry",
  "lattice_angstrom": [[7.554, 0.000, 0.000], [0.000, 3.693, 3.665], [0.000, -3.693, 3.665]],
  "species": ["Pr", "Mg", "Co", "Co", "Co", "Co", "O", "O", "O", "O", "O", "O", "O", "O", "O", "O", "O", "O"],
  "frac_coords": [[0.000, 0.000, 0.000], [0.500, 0.451, 0.451], [0.260, 0.478, 0.967], [0.260, 0.967, 0.478], [0.740, 0.478, 0.967], [0.740, 0.967, 0.478], [0.000, 0.517, 0.932], [0.000, 0.932, 0.517], [0.216, 0.254, 0.254], [0.252, 0.182, 0.763], [0.252, 0.763, 0.182], [0.315, 0.663, 0.663], [0.500, 0.057, 0.452], [0.500, 0.452, 0.057], [0.685, 0.663, 0.663], [0.748, 0.182, 0.763], [0.748, 0.763, 0.182], [0.784, 0.254, 0.254]],
  "formation_enthalpy_0k_ev_per_atom": -1.31,
  "rho_g_cm3": 4.82,
  "final_energy_ev_per_cell": -102.961
}


(6)
{
  "formula": "Mn5NiB2O10",
  "functional": "PBE+U",
  "state": "optimized geometry",
  "lattice_angstrom": [[3.087, 0.000, 0.000], [0.000, 9.511, 0.000], [0.000, 0.000, 12.934]],
  "species": ["Mn", "Mn", "Mn", "Mn", "Mn", "Mn", "Mn", "Mn", "Mn", "Mn", "Ni", "Ni", "B", "B", "B", "B", "O", "O", "O", "O", "O", "O", "O", "O", "O", "O", "O", "O", "O", "O", "O", "O", "O", "O", "O", "O"],
  "frac_coords": [[0.000, 0.004, 0.000], [0.000, 0.253, 0.384], [0.000, 0.490, 0.764], [0.000, 0.510, 0.264], [0.000, 0.747, 0.884], [0.000, 0.996, 0.500], [0.500, 0.247, 0.159], [0.500, 0.251, 0.882], [0.500, 0.749, 0.382], [0.500, 0.753, 0.659], [0.500, 0.250, 0.605], [0.500, 0.750, 0.105], [0.000, 0.028, 0.744], [0.000, 0.479, 0.023], [0.000, 0.521, 0.523], [0.000, 0.972, 0.244], [0.000, 0.097, 0.838], [0.000, 0.105, 0.651], [0.000, 0.119, 0.242], [0.000, 0.374, 0.528], [0.000, 0.402, 0.115], [0.000, 0.408, 0.929], [0.000, 0.592, 0.429], [0.000, 0.598, 0.615], [0.000, 0.626, 0.028], [0.000, 0.881, 0.742], [0.000, 0.895, 0.151], [0.000, 0.903, 0.338], [0.500, 0.133, 0.025], [0.500, 0.135, 0.466], [0.500, 0.363, 0.738], [0.500, 0.371, 0.302], [0.500, 0.629, 0.802], [0.500, 0.637, 0.238], [0.500, 0.865, 0.966], [0.500, 0.867, 0.525]],
  "formation_enthalpy_0k_ev_per_atom": -2.18,
  "rho_g_cm3": 4.50,
  "final_energy_ev_per_cell": -271.992
}